## Ba2DyUO6 (meta-GGA r2SCAN)

Data for a relaxed Ba2DyUO6 crystal.

Cell: 6.187 6.187 6.187 Å, 60.00 60.00 60.00°
Atoms (fractional coordinates):
Ba: 0.250 0.250 0.250
Ba: 0.750 0.750 0.750
Dy: 0.000 0.000 0.000
U: 0.500 0.500 0.500
O: 0.255 0.255 0.745
O: 0.255 0.745 0.255
O: 0.255 0.745 0.745
O: 0.745 0.255 0.255
O: 0.745 0.255 0.745
O: 0.745 0.745 0.255

Values from the calculation:
The formation energy comes out at -82.3 kcal/mol of atoms. The total energy is -23.65 eV/atom. As for the density: 7.6 g cm⁻³. Its symmetry is No. 225. As for the magnetic moment: 1.00 μB per formula unit.